A plane-wave DFT calculation with PBE was carried out for a geometry-optimized CsRb2ErCl6 structure.

Cell lengths 8.3142, 8.3142, 8.3142 Å; angles 60.00, 60.00, 60.00 degrees
Fractional coordinates of all 10 atoms:
Cl1 0.2223 0.7777 0.2223
Cl2 0.7777 0.7777 0.2223
Rb1 0.7500 0.7500 0.7500
Er1 0.0000 0.0000 0.0000
Cl3 0.2223 0.7777 0.7777
Cl4 0.7777 0.2223 0.2223
Rb2 0.2500 0.2500 0.2500
Cl5 0.2223 0.2223 0.7777
Cl6 0.7777 0.2223 0.7777
Cs1 0.5000 0.5000 0.5000

Values from the calculation:
The value obtained for the density is 2.8 g/cm3. Its formation energy is -2.43 eV/atom. For the MP2020-corrected energy, the calculation gives -4.28 eV per atom. The total magnetization is 0.000 μB per formula unit. Its space-group type is Fm-3m, No. 225.